Record 1
Here is Ba6Na2Nb2P2O17 after structural relaxation from the Materials Project. Energies are from r²SCAN.

Cell lengths 5.850, 5.850, 14.632 Å; angles 90.00, 90.00, 120.00 degrees
Atoms (fractional coordinates):
Ba1 0.000 0.000 0.000
Ba2 0.000 0.000 0.500
Ba3 0.333 0.667 0.320
Ba4 0.333 0.667 0.842
Ba5 0.667 0.333 0.158
Ba6 0.667 0.333 0.680
Na1 0.000 0.000 0.255
Na2 0.000 0.000 0.745
Nb1 0.333 0.667 0.088
Nb2 0.667 0.333 0.912
P1 0.333 0.667 0.605
P2 0.667 0.333 0.395
O1 0.000 0.500 0.000
O2 0.176 0.351 0.162
O3 0.176 0.824 0.162
O4 0.190 0.380 0.643
O5 0.190 0.810 0.643
O6 0.333 0.667 0.501
O7 0.351 0.176 0.838
O8 0.380 0.190 0.357
O9 0.500 0.000 0.000
O10 0.500 0.500 0.000
O11 0.620 0.810 0.643
O12 0.649 0.824 0.162
O13 0.667 0.333 0.499
O14 0.810 0.190 0.357
O15 0.810 0.620 0.357
O16 0.824 0.176 0.838
O17 0.824 0.649 0.838


Record 2
Here is Ba3NaOs2O9 after structural relaxation from the Materials Project. Energies are from r²SCAN.

Cell lengths 5.925, 5.925, 14.335 Å; angles 90.00, 90.00, 120.00 degrees
Atoms (fractional coordinates):
Ba1 0.000 0.000 0.250
Ba2 0.000 0.000 0.750
Ba3 0.333 0.667 0.088
Ba4 0.333 0.667 0.412
Ba5 0.667 0.333 0.588
Ba6 0.667 0.333 0.912
Na1 0.000 0.000 0.000
Na2 0.000 0.000 0.500
Os1 0.333 0.667 0.662
Os2 0.333 0.667 0.838
Os3 0.667 0.333 0.162
Os4 0.667 0.333 0.338
O1 0.016 0.508 0.750
O2 0.180 0.359 0.591
O3 0.180 0.359 0.909
O4 0.180 0.820 0.591
O5 0.180 0.820 0.909
O6 0.359 0.180 0.091
O7 0.359 0.180 0.409
O8 0.492 0.508 0.750
O9 0.492 0.984 0.750
O10 0.508 0.016 0.250
O11 0.508 0.492 0.250
O12 0.641 0.820 0.591
O13 0.641 0.820 0.909
O14 0.820 0.180 0.091
O15 0.820 0.180 0.409
O16 0.820 0.641 0.091
O17 0.820 0.641 0.409
O18 0.984 0.492 0.250


Record 3
Here is Ba6Na2Si4O15 after structural relaxation from the Materials Project. Energies are from r²SCAN.

Cell lengths 9.569, 7.898, 11.528 Å; angles 90.00, 107.58, 90.00 degrees
Atoms (fractional coordinates):
Ba1 0.002 0.003 0.275
Ba2 0.002 0.497 0.775
Ba3 0.333 0.021 0.084
Ba4 0.333 0.479 0.584
Ba5 0.342 0.505 0.086
Ba6 0.342 0.995 0.586
Ba7 0.658 0.005 0.414
Ba8 0.658 0.495 0.914
Ba9 0.667 0.521 0.416
Ba10 0.667 0.979 0.916
Ba11 0.998 0.503 0.225
Ba12 0.998 0.997 0.725
Na1 0.322 0.750 0.331
Na2 0.322 0.750 0.831
Na3 0.678 0.250 0.169
Na4 0.678 0.250 0.669
Si1 0.037 0.709 0.510
Si2 0.037 0.791 0.010
Si3 0.380 0.244 0.845
Si4 0.380 0.256 0.345
Si5 0.620 0.744 0.655
Si6 0.620 0.756 0.155
Si7 0.963 0.209 0.990
Si8 0.963 0.291 0.490
O1 0.000 0.000 0.000
O2 0.000 0.500 0.500
O3 0.116 0.191 0.528
O4 0.116 0.309 0.028
O5 0.135 0.744 0.420
O6 0.135 0.756 0.920
O7 0.136 0.741 0.649
O8 0.136 0.759 0.149
O9 0.285 0.069 0.825
O10 0.285 0.431 0.325
O11 0.290 0.077 0.319
O12 0.290 0.423 0.819
O13 0.487 0.247 0.988
O14 0.487 0.253 0.488
O15 0.488 0.238 0.757
O16 0.488 0.262 0.257
O17 0.512 0.738 0.743
O18 0.512 0.762 0.243
O19 0.513 0.747 0.512
O20 0.513 0.753 0.012
O21 0.710 0.577 0.181
O22 0.710 0.923 0.681
O23 0.715 0.569 0.675
O24 0.715 0.931 0.175
O25 0.864 0.241 0.851
O26 0.864 0.259 0.351
O27 0.865 0.244 0.080
O28 0.865 0.256 0.580
O29 0.884 0.691 0.972
O30 0.884 0.809 0.472


Record 4
Here is BaNaP after structural relaxation from the Materials Project. Energies are from r²SCAN.

Cell lengths 7.969, 7.969, 4.699 Å; angles 90.00, 90.00, 120.00 degrees
Atoms (fractional coordinates):
Ba1 0.000 0.588 0.000
Ba2 0.412 0.412 0.000
Ba3 0.588 0.000 0.000
Na1 0.000 0.242 0.500
Na2 0.242 0.000 0.500
Na3 0.758 0.758 0.500
P1 0.000 0.000 0.000
P2 0.333 0.667 0.500
P3 0.667 0.333 0.500


Record 5
Here is BaNbO3 after structural relaxation from the Materials Project. Energies are from r²SCAN.

Cell lengths 4.134, 4.134, 4.134 Å; angles 90.00, 90.00, 90.00 degrees
Atoms (fractional coordinates):
Ba1 0.000 0.000 0.000
Nb1 0.500 0.500 0.500
O1 0.000 0.500 0.500
O2 0.500 0.000 0.500
O3 0.500 0.500 0.000


Record 6
Here is Ba4Nb2O9 after structural relaxation from the Materials Project. Energies are from r²SCAN.

Cell lengths 6.142, 6.142, 16.636 Å; angles 90.00, 90.00, 120.00 degrees
Atoms (fractional coordinates):
Ba1 0.000 0.000 0.000
Ba2 0.000 0.000 0.250
Ba3 0.000 0.000 0.500
Ba4 0.000 0.000 0.750
Ba5 0.333 0.667 0.135
Ba6 0.333 0.667 0.365
Ba7 0.667 0.333 0.635
Ba8 0.667 0.333 0.865
Nb1 0.333 0.667 0.659
Nb2 0.333 0.667 0.841
Nb3 0.667 0.333 0.159
Nb4 0.667 0.333 0.341
O1 0.043 0.571 0.750
O2 0.109 0.355 0.608
O3 0.109 0.355 0.892
O4 0.246 0.891 0.608
O5 0.246 0.891 0.892
O6 0.355 0.246 0.108
O7 0.355 0.246 0.392
O8 0.429 0.472 0.750
O9 0.472 0.043 0.250
O10 0.528 0.957 0.750
O11 0.571 0.528 0.250
O12 0.645 0.754 0.608
O13 0.645 0.754 0.892
O14 0.754 0.109 0.108
O15 0.754 0.109 0.392
O16 0.891 0.645 0.108
O17 0.891 0.645 0.392
O18 0.957 0.429 0.250


Record 7
Here is Ba5Nb4O15 after structural relaxation from the Materials Project. Energies are from r²SCAN.

Cell lengths 5.853, 5.853, 11.913 Å; angles 90.00, 90.00, 120.00 degrees
Atoms (fractional coordinates):
Ba1 0.000 0.000 0.000
Ba2 0.333 0.667 0.429
Ba3 0.333 0.667 0.791
Ba4 0.667 0.333 0.209
Ba5 0.667 0.333 0.571
Nb1 0.000 0.000 0.317
Nb2 0.000 0.000 0.683
Nb3 0.333 0.667 0.105
Nb4 0.667 0.333 0.895
O1 0.000 0.500 0.000
O2 0.164 0.328 0.612
O3 0.164 0.836 0.612
O4 0.169 0.338 0.192
O5 0.169 0.831 0.192
O6 0.328 0.164 0.388
O7 0.338 0.169 0.808
O8 0.500 0.000 0.000
O9 0.500 0.500 0.000
O10 0.662 0.831 0.192
O11 0.672 0.836 0.612
O12 0.831 0.169 0.808
O13 0.831 0.662 0.808
O14 0.836 0.164 0.388
O15 0.836 0.672 0.388


Record 8
Here is BaNb5O8 after structural relaxation from the Materials Project. Energies are from r²SCAN.

Cell lengths 6.673, 6.673, 4.151 Å; angles 90.00, 90.00, 90.00 degrees
Atoms (fractional coordinates):
Ba1 0.000 0.000 0.000
Nb1 0.212 0.402 0.500
Nb2 0.402 0.788 0.500
Nb3 0.500 0.500 0.000
Nb4 0.598 0.212 0.500
Nb5 0.788 0.598 0.500
O1 0.099 0.699 0.500
O2 0.204 0.387 0.000
O3 0.301 0.099 0.500
O4 0.387 0.796 0.000
O5 0.613 0.204 0.000
O6 0.699 0.901 0.500
O7 0.796 0.613 0.000
O8 0.901 0.301 0.500


Number 1: electronic total energy -1.0691 Ry/atom. Number 2: electronic total energy -1.3449 Ry/atom. Number 3: electronic total energy -1.0184 Ry/atom. Number 4: electronic total energy -1.0250 Ry/atom. Number 5: electronic total energy -1.2375 Ry/atom. Number 6: electronic total energy -1.2479 Ry/atom. Number 7: electronic total energy -1.2102 Ry/atom. Number 8: electronic total energy -1.2314 Ry/atom.